An optimized crystal structure of Fe3O5F, computed with PBE+U.

volume	181.93	Å³ per cell
energy of formation from the pure elements	-34.13	kcal/mol of atoms
SG	No. 31

Cell lengths 2.9570, 4.5304, 13.5803 Å; angles 90.00, 90.00, 90.00 degrees
Last column: nearest neighbours and their distance in Å.
Fractional coordinates of all 18 atoms:
Fe 0.0000 0.7289 0.9991  6 O 1.84-1.90
Fe 0.0000 0.7751 0.3439  5 O 1.89-1.93
Fe 0.0000 0.7824 0.6598  4 O 1.95-1.99, 2 F 2.05
Fe 0.5000 0.2176 0.1598  4 O 1.95-1.99, 2 F 2.05
Fe 0.5000 0.2711 0.4991  6 O 1.84-1.90
Fe 0.5000 0.2249 0.8439  5 O 1.89-1.93
O 0.5000 0.9412 0.2735  3 Fe 1.92-1.99
O 0.5000 0.9825 0.5946  3 Fe 1.84-1.95
O 0.5000 0.9058 0.9340  3 Fe 1.89-1.90
O 0.0000 0.0175 0.0946  3 Fe 1.84-1.95
O 0.0000 0.0588 0.7735  3 Fe 1.92-1.99
O 0.0000 0.0942 0.4340  3 Fe 1.89-1.90
O 0.0000 0.4574 0.5609  3 Fe 1.90-1.99
O 0.0000 0.4333 0.9023  3 Fe 1.88-1.93
O 0.5000 0.5426 0.0609  3 Fe 1.90-1.99
O 0.5000 0.5667 0.4023  3 Fe 1.88-1.93
F 0.0000 0.4442 0.2320  3 Fe 2.05-2.13
F 0.5000 0.5558 0.7320  3 Fe 2.05-2.13

An optimized crystal structure of Fe10O11F9, computed with PBE+U.

volume	344.25	Å³ per cell
energy of formation from the pure elements	-45.20	kcal/mol of atoms
SG	No. 1

Cell lengths 4.7259, 4.7270, 15.4241 Å; angles 89.69, 89.63, 87.60 degrees
Last column: nearest neighbours and their distance in Å.
Fractional coordinates of all 30 atoms:
Fe 0.0087 0.9896 0.9985  4 O 1.92-1.98, 1 F 2.08
Fe 0.9672 0.0202 0.1943  2 O 1.91-1.92, 4 F 2.01-2.10
Fe 0.0194 0.0004 0.4058  3 O 1.91-1.98, 2 F 2.04-2.09
Fe 0.0018 0.0412 0.6015  3 O 1.92-1.94, 2 F 2.08-2.13
Fe 0.0001 0.0384 0.8007  3 O 1.93-1.96, 2 F 2.08-2.11
Fe 0.5416 0.5210 0.0956  4 O 1.95-1.98, 1 F 2.18
Fe 0.4897 0.4666 0.4940  4 O 1.97-2.01, 1 F 2.16
Fe 0.5115 0.4917 0.3047  3 O 1.92-1.96, 3 F 2.11-2.12
Fe 0.4998 0.4600 0.6999  3 O 1.92-1.97, 2 F 2.12
Fe 0.4844 0.4606 0.9060  4 O 1.96-1.99, 1 F 2.16
O 0.1928 0.1878 0.4997  3 Fe 1.91-1.97
O 0.1862 0.1993 0.7008  3 Fe 1.94-1.97
O 0.1880 0.1796 0.9035  3 Fe 1.92-1.97
O 0.7098 0.2955 0.0013  3 Fe 1.95-1.98
O 0.6920 0.3261 0.2009  3 Fe 1.91-1.98
O 0.7061 0.2906 0.3969  3 Fe 1.92-1.98
O 0.6831 0.3076 0.5976  3 Fe 1.92-1.98
O 0.6789 0.3040 0.8030  3 Fe 1.93-1.96
O 0.3104 0.6922 0.0011  3 Fe 1.96-1.99
O 0.3060 0.6918 0.3970  3 Fe 1.95-2.01
O 0.8221 0.8181 0.0981  3 Fe 1.92-1.97
F 0.2073 0.2037 0.1036  3 Fe 2.01-2.23
F 0.1929 0.1926 0.2961  3 Fe 2.09-2.11
F 0.3020 0.7160 0.2027  3 Fe 2.10-2.18
F 0.2928 0.6980 0.6001  3 Fe 2.08-2.16
F 0.2909 0.6953 0.7994  3 Fe 2.08-2.16
F 0.8036 0.7988 0.5015  3 Fe 2.04-2.21
F 0.8108 0.8121 0.2984  3 Fe 2.03-2.15
F 0.8026 0.7963 0.8973  3 Fe 2.08-2.23
F 0.7976 0.8048 0.6999  3 Fe 2.13-2.20

An optimized crystal structure of Fe3O5F, computed with PBE+U.

volume	194.08	Å³ per cell
energy of formation from the pure elements	-35.00	kcal/mol of atoms
SG	No. 1

Cell lengths 5.5267, 5.5298, 7.2127 Å; angles 71.85, 71.71, 72.85 degrees
Last column: nearest neighbours and their distance in Å.
Fractional coordinates of all 18 atoms:
Fe 0.3312 0.3472 0.1596  5 O 1.93-2.03, 1 F 2.09
Fe 0.6843 0.6420 0.3326  5 O 1.93-1.96, 1 F 2.12
Fe 0.3384 0.3467 0.6701  5 O 1.94-2.01, 1 F 2.07
Fe 0.6666 0.6712 0.8359  6 O 1.92-2.03
Fe 0.9791 0.9937 0.4961  4 O 1.93-1.96, 2 F 2.06-2.08
Fe 0.9959 0.0048 0.0081  5 O 1.95-2.01, 1 F 2.07
O 0.0225 0.6407 0.6717  3 Fe 1.94-2.00
O 0.7704 0.7686 0.0423  3 Fe 1.94-2.01
O 0.4379 0.4345 0.3724  3 Fe 1.93-2.03
O 0.2277 0.2350 0.9612  3 Fe 1.94-2.01
O 0.5745 0.5716 0.6225  3 Fe 1.93-2.03
O 0.8912 0.8856 0.2999  3 Fe 1.93-1.95
O 0.6293 0.0268 0.6762  3 Fe 1.93-2.01
O 0.9838 0.3435 0.3321  3 Fe 1.93-1.96
O 0.3102 0.7067 0.9914  3 Fe 1.92-2.01
O 0.6943 0.3139 0.9960  3 Fe 1.94-2.01
F 0.3621 0.9648 0.3343  3 Fe 2.06-2.12
F 0.1008 0.1030 0.6974  3 Fe 2.07-2.08